Here is a relaxed structure of KU2P3O12 from Materials Project. Energies are from PBE-GGA.

a b c (Å): 9.457 9.457 8.083
angles (deg): 78.70 78.70 42.33
Element x y z (fractional)
K (0.608, 0.408, 0.212)
O (0.856, 0.550, 0.627)
O (0.727, 0.825, 0.330)
O (0.395, 0.912, 0.433)
O (0.912, 0.395, 0.933)
O (0.455, 0.262, 0.153)
O (0.272, 0.175, 0.670)
O (0.175, 0.272, 0.170)
O (0.247, 0.808, 0.087)
U (0.248, 0.060, 0.963)
O (0.193, 0.752, 0.412)
O (0.808, 0.247, 0.587)
O (0.087, 0.606, 0.068)
O (0.450, 0.143, 0.874)
O (0.606, 0.087, 0.568)
O (0.040, 0.105, 0.256)
P (0.097, 0.903, 0.250)
O (0.737, 0.545, 0.348)
P (0.219, 0.400, 0.183)
P (0.600, 0.781, 0.317)
K (0.408, 0.608, 0.712)
O (0.550, 0.856, 0.127)
O (0.545, 0.737, 0.848)
P (0.781, 0.600, 0.817)
O (0.105, 0.040, 0.756)
P (0.400, 0.219, 0.683)
O (0.960, 0.896, 0.744)
O (0.825, 0.727, 0.830)
U (0.939, 0.752, 0.537)
U (0.060, 0.248, 0.463)
O (0.143, 0.450, 0.374)
O (0.896, 0.960, 0.244)
P (0.903, 0.097, 0.750)
U (0.752, 0.939, 0.037)
O (0.262, 0.455, 0.653)
O (0.752, 0.193, 0.912)

Output
energy with MP2020 corrections	-154.9	eV per formula unit
energy relative to the lowest polymorph listed for this composition	29	meV/atom
size of the total moment	4.000	μB/f.u.

Here is a relaxed structure of Sc from Materials Project. Energies are from PBE-GGA.

a b c (Å): 3.216 3.277 3.291
angles (deg): 119.41 59.43 89.17
Element x y z (fractional)
Sc (0.000, 0.000, 0.000)

Output
energy relative to the lowest polymorph listed for this composition	52	meV/atom
size of the total moment	0.012	μB/f.u.

Here is a relaxed structure of KLiZnO2 from Materials Project. Energies are from PBE-GGA.

a b c (Å): 5.738 5.738 8.335
angles (deg): 61.40 61.40 34.33
Element x y z (fractional)
O (0.162, 0.162, 0.938)
K (0.837, 0.837, 0.630)
O (0.461, 0.461, 0.307)
Li (0.341, 0.341, 0.945)
Zn (0.044, 0.044, 0.818)
O (0.838, 0.838, 0.062)
Li (0.659, 0.659, 0.055)
K (0.163, 0.163, 0.370)
O (0.539, 0.539, 0.693)
Zn (0.956, 0.956, 0.182)

Output
energy with MP2020 corrections	-23.2	eV per formula unit
size of the total moment	0.000	μB/f.u.

Here is a relaxed structure of CeSi2Ni from Materials Project. Energies are from PBE-GGA.

a b c (Å): 8.395 8.395 4.055
angles (deg): 90.00 90.00 151.71
Element x y z (fractional)
Si (0.751, 0.249, 0.250)
Ce (0.106, 0.894, 0.250)
Ce (0.894, 0.106, 0.750)
Si (0.540, 0.460, 0.750)
Ni (0.319, 0.681, 0.250)
Si (0.460, 0.540, 0.250)
Si (0.249, 0.751, 0.750)
Ni (0.681, 0.319, 0.750)

Output
E_tot	-6.473	eV/atom

Here is a relaxed structure of TiAlNi6 from Materials Project. Energies are from PBE-GGA.

a b c (Å): 3.596 3.596 7.143
angles (deg): 90.00 90.00 90.00
Element x y z (fractional)
Ni (0.500, 0.000, 0.248)
Ni (0.500, 0.000, 0.752)
Ti (0.000, 0.000, 0.500)
Ni (0.000, 0.500, 0.752)
Ni (0.500, 0.500, 0.000)
Ni (0.500, 0.500, 0.500)
Al (0.000, 0.000, 0.000)
Ni (0.000, 0.500, 0.248)

Output
E_tot	-6.264	eV/atom

Here is a relaxed structure of Ba3LiIrRuO9 from Materials Project. Energies are from PBE-GGA.

a b c (Å): 5.884 5.884 14.213
angles (deg): 90.00 90.00 120.00
Element x y z (fractional)
O (0.824, 0.648, 0.914)
Ba (0.000, 0.000, 0.249)
Li (0.000, 0.000, 0.001)
O (0.647, 0.824, 0.085)
O (0.176, 0.824, 0.085)
O (0.982, 0.491, 0.749)
Ru (0.333, 0.667, 0.342)
O (0.509, 0.491, 0.749)
Ba (0.667, 0.333, 0.087)
O (0.176, 0.352, 0.414)
O (0.824, 0.176, 0.585)
O (0.824, 0.647, 0.585)
O (0.353, 0.176, 0.585)
O (0.509, 0.018, 0.749)
O (0.176, 0.353, 0.085)
O (0.491, 0.982, 0.249)
Ba (0.667, 0.333, 0.416)
O (0.648, 0.824, 0.414)
Ir (0.333, 0.667, 0.161)
Ir (0.667, 0.333, 0.661)
O (0.491, 0.509, 0.249)
O (0.352, 0.176, 0.914)
Ru (0.667, 0.333, 0.842)
Ba (0.333, 0.667, 0.587)
Ba (0.333, 0.667, 0.916)
O (0.176, 0.824, 0.414)
Ba (0.000, 0.000, 0.749)
O (0.824, 0.176, 0.914)
O (0.018, 0.509, 0.249)
Li (0.000, 0.000, 0.501)

Output
energy with MP2020 corrections	-103.9	eV per formula unit
size of the total moment	3.337	μB/f.u.